The following is a DFT calculation (GGA-PBE) of RbZrF5 after structural relaxation.

Cell lengths 7.750, 8.850, 11.155 Å; angles 73.97, 70.31, 64.51 degrees
Space group P-1 (No. 2)
One atom of each set of equivalent atoms:
Rb 0.216 0.006 0.266 x2
Rb 0.244 0.656 0.572 x2
Rb 0.276 0.324 0.920 x2
Zr 0.218 0.530 0.244 x2
Zr 0.239 0.833 0.932 x2
Zr 0.266 0.159 0.581 x2
F 0.074 0.733 0.359 x2
F 0.088 0.055 0.034 x2
F 0.105 0.382 0.698 x2
F 0.134 0.630 0.057 x2
F 0.156 0.342 0.218 x2
F 0.166 0.017 0.527 x2
F 0.178 0.371 0.439 x2
F 0.186 0.747 0.804 x2
F 0.189 0.049 0.775 x2
F 0.315 0.739 0.121 x2
F 0.433 0.510 0.319 x2
F 0.455 0.920 0.904 x2
F 0.470 0.221 0.612 x2
F 0.492 0.096 0.400 x2
F 0.492 0.386 0.115 x2

Values from the calculation:
- spin magnetization (μB/f.u.) = 0.00
- calculated formation energy (eV/atom) = -3.80
- uncorrected energy (eV per atom) = -6.20

=====

The following is a DFT calculation (GGA-PBE) of BeAgO3 after structural relaxation.

Cell lengths 3.568, 3.568, 3.568 Å; angles 90.00, 90.00, 90.00 degrees
Space group Pm-3m (No. 221)
One atom of each set of equivalent atoms:
Be 0.000 0.000 0.000 x1
Ag 0.500 0.500 0.500 x1
O 0.000 0.000 0.500 x3

Values from the calculation:
- spin magnetization (μB/f.u.) = 0.00
- calculated formation energy (eV/atom) = -0.78
- uncorrected energy (eV per atom) = -4.65

=====

The following is a DFT calculation (GGA-PBE) of SrBiAu after structural relaxation.

Cell lengths 5.5299, 5.5299, 6.6583 Å; angles 90.00, 90.00, 120.00 degrees
Space group P6_3/mmc (No. 194)
One atom of each set of equivalent atoms:
Sr 0.3333 0.6667 0.2500 x2
Bi 0.3333 0.6667 0.7500 x2
Au 0.0000 0.0000 0.0000 x2

Values from the calculation:
- spin magnetization (μB/f.u.) = 0.00
- calculated formation energy (eV/atom) = -0.33
- uncorrected energy (eV per atom) = -3.28

=====

The following is a DFT calculation (GGA-PBE) of Na6CaSi6Ge7S6O48 after structural relaxation.

Cell lengths 8.596, 15.012, 22.125 Å; angles 89.57, 89.77, 89.95 degrees
Space group P1 (No. 1)
One atom of each set of equivalent atoms:
Na 0.000 0.000 0.000 x1
Na 0.000 0.333 0.667 x1
Na 0.003 0.671 0.837 x1
Na 0.005 0.677 0.334 x1
Na 0.153 0.508 0.755 x1
Na 0.195 0.817 0.754 x1
Na 0.323 0.313 0.257 x1
Na 0.370 0.011 0.253 x1
Na 0.497 0.834 0.167 x1
Na 0.502 0.172 0.832 x1
Na 0.504 0.508 0.996 x1
Na 0.508 0.498 0.501 x1
Na 0.508 0.842 0.670 x1
Na 0.509 0.173 0.332 x1
Na 0.824 0.816 0.252 x1
Na 0.870 0.509 0.255 x1
Na 0.993 0.329 0.169 x1
Na 0.996 0.005 0.500 x1
Ca 0.001 0.673 0.685 x1
Ca 0.004 0.675 0.184 x1
Ca 0.508 0.172 0.186 x1
Si 0.129 0.149 0.258 x1
Si 0.146 0.483 0.919 x1
Si 0.155 0.861 0.257 x1
Si 0.217 0.841 0.918 x1
Si 0.288 0.009 0.751 x1
Si 0.289 0.337 0.420 x1
Si 0.359 0.356 0.755 x1
Si 0.379 0.648 0.754 x1
Si 0.632 0.645 0.257 x1
Si 0.640 0.694 0.915 x1
Si 0.646 0.033 0.586 x1
Si 0.649 0.981 0.914 x1
Si 0.652 0.319 0.588 x1
Si 0.653 0.363 0.254 x1
Si 0.716 0.339 0.916 x1
Si 0.718 0.005 0.255 x1
Si 0.794 0.843 0.417 x1
Si 0.863 0.483 0.418 x1
Ge 0.000 0.335 0.318 x1
Ge 0.000 0.674 0.970 x1
Ge 0.005 0.344 0.819 x1
Ge 0.009 0.005 0.161 x1
Ge 0.012 0.002 0.859 x1
Ge 0.491 0.501 0.861 x1
Ge 0.492 0.495 0.655 x1
Ge 0.494 0.838 0.818 x1
Ge 0.504 0.172 0.689 x1
Ge 0.510 0.838 0.007 x1
Ge 0.512 0.185 0.487 x1
Ge 0.515 0.834 0.310 x1
Ge 0.517 0.511 0.153 x1
Ge 0.518 0.853 0.520 x1
Ge 0.520 0.493 0.361 x1
Ge 0.522 0.168 0.975 x1
Ge 0.991 0.672 0.474 x1
Ge 0.992 0.344 0.518 x1
Ge 0.993 0.998 0.352 x1
Ge 0.998 0.344 0.014 x1
Ge 0.999 0.010 0.650 x1
S 0.149 0.195 0.919 x1
S 0.152 0.523 0.581 x1
S 0.157 0.822 0.580 x1
S 0.213 0.172 0.585 x1
S 0.225 0.503 0.254 x1
S 0.310 0.672 0.082 x1
S 0.348 0.323 0.082 x1
S 0.354 0.020 0.081 x1
S 0.360 0.697 0.421 x1
S 0.360 0.985 0.419 x1
S 0.699 0.674 0.580 x1
S 0.786 0.499 0.754 x1
S 0.812 0.173 0.080 x1
S 0.848 0.825 0.081 x1
S 0.852 0.519 0.083 x1
S 0.852 0.868 0.753 x1
S 0.858 0.193 0.420 x1
S 0.861 0.150 0.753 x1
O 0.053 0.250 0.261 x1
O 0.057 0.109 0.193 x1
O 0.064 0.444 0.857 x1
O 0.066 0.580 0.928 x1
O 0.068 0.905 0.314 x1
O 0.075 0.106 0.914 x1
O 0.075 0.766 0.253 x1
O 0.077 0.234 0.974 x1
O 0.079 0.775 0.529 x1
O 0.082 0.432 0.575 x1
O 0.083 0.912 0.583 x1
O 0.087 0.554 0.639 x1
O 0.106 0.929 0.912 x1
O 0.107 0.753 0.928 x1
O 0.110 0.083 0.316 x1
O 0.111 0.251 0.578 x1
O 0.113 0.090 0.591 x1
O 0.118 0.583 0.529 x1
O 0.119 0.579 0.248 x1
O 0.123 0.418 0.977 x1
O 0.128 0.419 0.255 x1
O 0.131 0.250 0.864 x1
O 0.140 0.925 0.194 x1
O 0.142 0.776 0.638 x1
O 0.162 0.348 0.763 x1
O 0.172 0.985 0.691 x1
O 0.173 0.330 0.074 x1
O 0.174 0.026 0.810 x1
O 0.176 0.350 0.479 x1
O 0.179 0.014 0.084 x1
O 0.184 0.689 0.428 x1
O 0.188 0.319 0.357 x1
O 0.189 0.994 0.416 x1
O 0.191 0.661 0.751 x1
O 0.205 0.657 0.029 x1
O 0.228 0.685 0.139 x1
O 0.305 0.188 0.640 x1
O 0.307 0.819 0.855 x1
O 0.308 0.154 0.530 x1
O 0.313 0.161 0.252 x1
O 0.315 0.515 0.308 x1
O 0.318 0.488 0.196 x1
O 0.321 0.185 0.927 x1
O 0.322 0.860 0.977 x1
O 0.325 0.516 0.584 x1
O 0.329 0.830 0.570 x1
O 0.331 0.490 0.915 x1
O 0.343 0.861 0.264 x1
O 0.362 0.423 0.695 x1
O 0.363 0.277 0.139 x1
O 0.378 0.752 0.365 x1
O 0.382 0.926 0.474 x1
O 0.385 0.083 0.029 x1
O 0.391 0.917 0.757 x1
O 0.392 0.429 0.413 x1
O 0.396 0.096 0.742 x1
O 0.398 0.578 0.809 x1
O 0.401 0.246 0.428 x1
O 0.407 0.586 0.086 x1
O 0.410 0.753 0.075 x1
O 0.415 0.053 0.138 x1
O 0.419 0.414 0.085 x1
O 0.424 0.278 0.029 x1
O 0.425 0.607 0.416 x1
O 0.427 0.931 0.073 x1
O 0.429 0.740 0.475 x1
O 0.429 0.943 0.364 x1
O 0.437 0.072 0.426 x1
O 0.438 0.401 0.813 x1
O 0.439 0.260 0.742 x1
O 0.447 0.601 0.689 x1
O 0.455 0.749 0.757 x1
O 0.556 0.744 0.259 x1
O 0.562 0.610 0.191 x1
O 0.563 0.405 0.312 x1
O 0.563 0.939 0.856 x1
O 0.564 0.735 0.977 x1
O 0.565 0.080 0.925 x1
O 0.566 0.075 0.646 x1
O 0.567 0.282 0.527 x1
O 0.570 0.932 0.578 x1
O 0.572 0.594 0.908 x1
O 0.575 0.269 0.251 x1
O 0.576 0.421 0.599 x1
O 0.596 0.582 0.315 x1
O 0.596 0.754 0.571 x1
O 0.598 0.083 0.253 x1
O 0.601 0.251 0.926 x1
O 0.606 0.592 0.583 x1
O 0.613 0.427 0.910 x1
O 0.618 0.094 0.525 x1
O 0.618 0.911 0.258 x1
O 0.622 0.253 0.646 x1
O 0.624 0.761 0.857 x1
O 0.631 0.428 0.192 x1
O 0.634 0.923 0.976 x1
O 0.675 0.497 0.415 x1
O 0.675 0.833 0.074 x1
O 0.676 0.512 0.085 x1
O 0.683 0.862 0.756 x1
O 0.684 0.185 0.425 x1
O 0.687 0.820 0.358 x1
O 0.689 0.859 0.477 x1
O 0.690 0.157 0.747 x1
O 0.693 0.511 0.808 x1
O 0.698 0.487 0.697 x1
O 0.705 0.158 0.027 x1
O 0.729 0.193 0.135 x1
O 0.783 0.692 0.635 x1
O 0.808 0.660 0.527 x1
O 0.818 0.353 0.977 x1
O 0.818 0.654 0.254 x1
O 0.819 0.022 0.315 x1
O 0.823 0.980 0.193 x1
O 0.829 0.314 0.858 x1
O 0.830 0.686 0.926 x1
O 0.837 0.001 0.906 x1
O 0.840 0.018 0.595 x1
O 0.844 0.326 0.578 x1
O 0.844 0.362 0.261 x1
O 0.863 0.778 0.140 x1
O 0.878 0.249 0.365 x1
O 0.878 0.422 0.478 x1
O 0.881 0.919 0.695 x1
O 0.886 0.578 0.031 x1
O 0.887 0.095 0.807 x1
O 0.887 0.415 0.756 x1
O 0.893 0.575 0.750 x1
O 0.905 0.754 0.426 x1
O 0.905 0.932 0.413 x1
O 0.906 0.091 0.084 x1
O 0.912 0.550 0.141 x1
O 0.915 0.253 0.071 x1
O 0.922 0.427 0.076 x1
O 0.925 0.235 0.475 x1
O 0.925 0.777 0.030 x1
O 0.926 0.780 0.750 x1
O 0.926 0.914 0.085 x1
O 0.927 0.909 0.806 x1
O 0.931 0.111 0.696 x1
O 0.932 0.106 0.416 x1
O 0.935 0.239 0.757 x1
O 0.941 0.439 0.357 x1
O 0.948 0.581 0.425 x1

Values from the calculation:
- spin magnetization (μB/f.u.) = 0.00
- calculated formation energy (eV/atom) = -2.26
- uncorrected energy (eV per atom) = -6.37

=====

The following is a DFT calculation (GGA-PBE) of NaBS4O14 after structural relaxation.

Cell lengths 11.247, 8.771, 13.071 Å; angles 90.00, 110.03, 90.00 degrees
Space group P2_1/c (No. 14)
One atom of each set of equivalent atoms:
Na 0.201 0.232 0.075 x4
B 0.261 0.724 0.331 x4
S 0.085 0.614 0.676 x4
S 0.123 0.598 0.907 x4
S 0.305 0.079 0.852 x4
S 0.451 0.623 0.270 x4
O 0.039 0.148 0.897 x4
O 0.042 0.720 0.915 x4
O 0.065 0.527 0.782 x4
O 0.142 0.032 0.476 x4
O 0.150 0.735 0.227 x4
O 0.167 0.517 0.643 x4
O 0.228 0.132 0.746 x4
O 0.253 0.657 0.908 x4
O 0.254 0.574 0.380 x4
O 0.334 0.177 0.944 x4
O 0.381 0.586 0.159 x4
O 0.383 0.747 0.315 x4
O 0.418 0.158 0.196 x4
O 0.444 0.026 0.848 x4

Values from the calculation:
- spin magnetization (μB/f.u.) = 0.00
- calculated formation energy (eV/atom) = -1.91
- uncorrected energy (eV per atom) = -6.12

=====

The following is a DFT calculation (GGA-PBE) of As12S13 after structural relaxation.

Cell lengths 8.185, 9.253, 23.246 Å; angles 88.29, 89.43, 87.24 degrees
Space group P1 (No. 1)
One atom of each set of equivalent atoms:
As 0.000 0.000 0.000 x1
As 0.000 0.076 0.316 x1
As 0.055 0.076 0.662 x1
As 0.210 0.613 0.455 x1
As 0.286 0.505 0.663 x1
As 0.304 0.884 0.723 x1
As 0.329 0.060 0.945 x1
As 0.344 0.156 0.736 x1
As 0.378 0.865 0.332 x1
As 0.467 0.364 0.596 x1
As 0.469 0.874 0.879 x1
As 0.484 0.593 0.149 x1
As 0.573 0.140 0.659 x1
As 0.591 0.411 0.751 x1
As 0.628 0.346 0.171 x1
As 0.641 0.848 0.378 x1
As 0.685 0.081 0.307 x1
As 0.691 0.296 0.068 x1
As 0.749 0.892 0.058 x1
As 0.787 0.430 0.394 x1
As 0.823 0.567 0.801 x1
As 0.856 0.988 0.234 x1
As 0.863 0.169 0.428 x1
As 0.886 0.968 0.595 x1
S 0.036 0.936 0.753 x1
S 0.038 0.353 0.422 x1
S 0.043 0.441 0.809 x1
S 0.045 0.597 0.537 x1
S 0.051 0.080 0.814 x1
S 0.058 0.316 0.287 x1
S 0.169 0.683 0.602 x1
S 0.261 0.932 0.023 x1
S 0.314 0.602 0.227 x1
S 0.322 0.055 0.409 x1
S 0.390 0.742 0.804 x1
S 0.442 0.620 0.303 x1
S 0.448 0.601 0.484 x1
S 0.468 0.218 0.111 x1
S 0.491 0.199 0.820 x1
S 0.536 0.996 0.447 x1
S 0.558 0.547 0.647 x1
S 0.653 0.027 0.839 x1
S 0.664 0.524 0.888 x1
S 0.667 0.718 0.924 x1
S 0.685 0.731 0.188 x1
S 0.764 0.252 0.707 x1
S 0.836 0.419 0.293 x1
S 0.853 0.722 0.122 x1
S 0.884 0.093 0.088 x1
S 0.945 0.150 0.537 x1

Values from the calculation:
- spin magnetization (μB/f.u.) = 0.00
- calculated formation energy (eV/atom) = -0.12
- uncorrected energy (eV per atom) = -4.25
- distance to the lowest polymorph of the same formula (meV per atom) = 41